A geometry-optimized LiCu2C2O6 structure, computed with PBE.

Lattice parameters (Å, degrees): 6.5318 5.0398 5.0311 59.89 111.48 89.77
Closest atoms and distances in Å follow each position.
Fractional positions:
1 Li 0.6501 0.6355 0.4240  4 O 1.92-2.00
2 Cu 0.2271 0.7489 0.8424  3 O 1.92-1.95
3 Cu 0.7793 0.2572 0.1667  3 O 1.97-2.01
4 C 0.2544 0.0730 0.1827  3 O 1.29-1.30
5 C 0.7474 0.9291 0.8144  3 O 1.29-1.31
6 O 0.2664 0.3278 0.9374  1 C 1.29
7 O 0.1844 0.0797 0.3899  1 C 1.30
8 O 0.3163 0.8037 0.2239  1 C 1.30
9 O 0.7367 0.1981 0.7849  1 C 1.29
10 O 0.7873 0.8917 0.5974  1 C 1.31
11 O 0.7210 0.6907 0.0607  1 C 1.29

Results
VASP energy ... -6.451 eV/atom
MP2020-corrected energy ... -75.09 eV for the cell shown
Calculated volume ... 129.6 Å³/cell
Calculated formation energy ... -1.53 eV/atom